No. 1
Density functional theory data (PBE+U) for an optimized crystal structure of La17Mn17O54.

Energy of formation from the pure elements in eV/atom: -2.93
Calculated density in g cm⁻³: 6.34
Energy with MP2020 corrections in eV per atom: -8.691
Volume in Å³/atom: 12.380

a b c (Å): 7.8637 9.5245 16.6603
angles (deg): 73.90 76.83 66.47
With the nearest neighbours (Å) after each atom.
Positions (direct):
Mn 0.6627 0.2257 0.4450  6 O 1.94-2.02
Mn 0.1659 0.8887 0.7762  6 O 1.88-2.01
Mn 0.8375 0.7752 0.5547  6 O 1.94-2.03
Mn 0.6666 0.8890 0.7772  6 O 1.96-2.00
Mn 0.0023 0.6644 0.3356  6 O 1.94-2.04
Mn 0.3333 0.7745 0.5547  6 O 1.97-2.02
Mn 0.3326 0.4451 0.8891  6 O 1.98-2.00
Mn 0.4984 0.6658 0.3343  6 O 1.96-2.04
Mn 0.4968 0.3347 0.6659  6 O 1.95-2.03
Mn 0.6666 0.5551 0.1112  6 O 1.98-2.00
Mn 0.1677 0.2254 0.4452  6 O 1.99-2.02
Mn 0.8340 0.1107 0.2238  6 O 1.88-2.00
Mn 0.0025 0.3348 0.6643  6 O 1.95-2.02
Mn 0.4999 0.0002 0.9998  6 O 1.89-2.00
Mn 0.8296 0.4504 0.8888  6 O 1.89-2.01
Mn 0.3337 0.1107 0.2229  6 O 1.96-2.00
Mn 0.1705 0.5494 0.1116  6 O 1.89-2.00
O 0.7906 0.3258 0.1529  2 Mn 1.99-2.00
O 0.9344 0.7114 0.4470  2 Mn 1.94
O 0.2934 0.4694 0.0080  2 Mn 1.97-2.00
O 0.5663 0.4467 0.3943  2 Mn 1.94-1.96
O 0.7888 0.9941 0.4881  2 Mn 2.00-2.02
O 0.6260 0.2482 0.5623  2 Mn 1.97-2.00
O 0.1263 0.7557 0.0485  1 Mn 1.89
O 0.9172 0.2380 0.4265  2 Mn 2.00-2.02
O 0.7494 0.3132 0.6877  2 Mn 2.02
O 0.7065 0.8604 0.6607  2 Mn 1.97-2.03
O 0.2495 0.3431 0.6574  2 Mn 1.95
O 0.7354 0.9831 0.0192  1 Mn 1.89
O 0.4574 0.8852 0.2630  2 Mn 1.96-2.04
O 0.7065 0.5307 0.9925  2 Mn 1.97-1.99
O 0.0828 0.0907 0.2443  2 Mn 1.99-2.00
O 0.0542 0.9664 0.8750  1 Mn 1.88
O 0.3780 0.4170 0.7717  2 Mn 1.98-2.01
O 0.0455 0.6377 0.2146  2 Mn 2.00-2.04
O 0.2647 0.0168 0.9805  1 Mn 1.89
O 0.9170 0.9075 0.7574  2 Mn 1.98-1.99
O 0.1212 0.1036 0.7080  2 Mn 1.98-2.01
O 0.4173 0.5324 0.1328  2 Mn 1.99-2.00
O 0.2886 0.8071 0.6738  2 Mn 1.96-2.02
O 0.4590 0.2166 0.9313  2 Mn 1.99-2.00
O 0.9523 0.3635 0.7846  2 Mn 2.01-2.02
O 0.0838 0.4233 0.9086  2 Mn 1.99-2.00
O 0.5840 0.1300 0.2026  2 Mn 1.99-2.00
O 0.0335 0.2915 0.5527  2 Mn 1.96-1.99
O 0.4278 0.1879 0.4598  2 Mn 1.97-1.99
O 0.2074 0.3393 0.1816  2 Mn 1.96-1.99
O 0.1109 0.4357 0.3696  2 Mn 1.96-1.99
O 0.6219 0.5857 0.2279  2 Mn 1.98-2.01
O 0.5413 0.7834 0.0680  2 Mn 1.99-2.00
O 0.7106 0.1927 0.3261  2 Mn 1.96-2.02
O 0.3885 0.7605 0.4352  2 Mn 1.97-1.99
O 0.9454 0.0348 0.1246  1 Mn 1.88
O 0.4657 0.5522 0.6046  2 Mn 1.98
O 0.5449 0.1150 0.7361  2 Mn 1.96-2.03
O 0.7947 0.6593 0.8176  2 Mn 1.96-2.00
O 0.0736 0.7750 0.5771  2 Mn 1.98-1.99
O 0.9165 0.5763 0.0915  2 Mn 2.00
O 0.5827 0.7970 0.5382  2 Mn 2.00-2.01
O 0.2105 0.6735 0.8470  2 Mn 1.99-2.00
O 0.2889 0.1409 0.3395  2 Mn 1.97-2.02
O 0.3738 0.0815 0.1048  2 Mn 2.00
O 0.8794 0.8954 0.2907  2 Mn 1.98-2.01
O 0.8737 0.5634 0.6260  2 Mn 1.98
O 0.8737 0.2442 0.9515  1 Mn 1.89
O 0.7508 0.6469 0.3519  2 Mn 2.00
O 0.4161 0.8696 0.7978  2 Mn 2.00-2.01
O 0.2500 0.6897 0.3102  2 Mn 1.99
O 0.5820 0.4669 0.8688  2 Mn 1.99-2.00
O 0.2141 0.0058 0.5128  2 Mn 2.00-2.01
O 0.6266 0.9181 0.8947  2 Mn 1.99-2.00
La 0.9135 0.3900 0.2803  5 O 2.47-2.73
La 0.2420 0.1613 0.8371  4 O 2.41-2.67
La 0.7581 0.8400 0.1613  4 O 2.39-2.67
La 0.5984 0.2672 0.0526  4 O 2.39-2.65
La 0.7489 0.5000 0.5000  3 O 2.46-2.48
La 0.0861 0.9340 0.3920  4 O 2.43-2.68
La 0.4134 0.3931 0.2833  5 O 2.43-2.72
La 0.4147 0.0658 0.6086  5 O 2.43-2.71
La 0.0868 0.6055 0.7170  5 O 2.44-2.70
La 0.5812 0.6110 0.7213  4 O 2.43-2.60
La 0.2391 0.8377 0.1613  4 O 2.40-2.66
La 0.9190 0.0557 0.6101  5 O 2.44-2.62
La 0.7607 0.1638 0.8374  4 O 2.41-2.67
La 0.5855 0.9413 0.3906  5 O 2.46-2.63
La 0.4010 0.7334 0.9479  4 O 2.39-2.64
La 0.0792 0.2628 0.0518  6 O 2.45-2.66
La 0.9210 0.7372 0.9476  6 O 2.45-2.67



No. 2
Density functional theory data (PBE+U) for an optimized crystal structure of MgCo2Ni4O8.

Energy of formation from the pure elements in eV/atom: -1.27
Calculated density in g cm⁻³: 5.49
Energy with MP2020 corrections in eV per atom: -6.507
Volume in Å³/atom: 10.181

a b c (Å): 5.8564 5.8404 6.1660
angles (deg): 61.69 61.59 59.99
With the nearest neighbours (Å) after each atom.
Positions (direct):
O 0.7580 0.2441 0.7476  1 Co 2.00, 1 Mg 2.10, 3 Ni 2.12-2.16
O 0.7566 0.7535 0.7476  1 Co 1.88
O 0.7397 0.7311 0.3043  1 Co 1.77, 3 Ni 1.96-1.98
O 0.2512 0.7564 0.2503  1 Co 2.03, 1 Mg 2.08, 3 Ni 2.12-2.15
O 0.2441 0.7531 0.7528  1 Mg 2.03, 3 Ni 2.09-2.14, 1 Co 2.10
O 0.2510 0.2449 0.2479  1 Mg 2.04, 1 Co 2.08, 3 Ni 2.10-2.15
O 0.2752 0.2664 0.6957  1 Co 1.77, 3 Ni 1.96-1.98
O 0.7569 0.2462 0.2528  1 Co 1.86
Ni 0.5023 0.9983 0.5010  6 O 1.96-2.15
Ni 0.5035 0.5000 0.5036  6 O 1.96-2.15
Ni 0.4881 0.5018 0.9999  6 O 2.09-2.22
Ni 0.0087 0.4982 0.4959  6 O 1.96-2.15
Co 0.1244 0.1637 0.0374  2 O 1.77-1.86
Co 0.8197 0.8461 0.9631  2 O 1.77-1.88
Mg 0.0207 0.9961 0.5000  6 O 2.03-2.17



No. 3
Density functional theory data (PBE+U) for an optimized crystal structure of SrNiO2.

Energy of formation from the pure elements in eV/atom: -2.02
Calculated density in g cm⁻³: 4.97
Energy with MP2020 corrections in eV per atom: -6.360
Volume in Å³/atom: 14.909

a b c (Å): 3.5967 4.0598 8.3638
angles (deg): 90.00 102.42 90.00
With the nearest neighbours (Å) after each atom.
Positions (direct):
Ni 0.9386 0.2500 0.8773  4 O 1.92-2.03
Ni 0.0614 0.7500 0.1227  4 O 1.92-2.03
O 0.1795 0.7500 0.3590  1 Ni 1.93
O 0.9438 0.7500 0.8876  3 Ni 1.92-2.03
O 0.0562 0.2500 0.1124  3 Ni 1.92-2.03
O 0.8205 0.2500 0.6410  1 Ni 1.93
Sr 0.6685 0.2500 0.3370  7 O 2.48-2.72
Sr 0.3315 0.7500 0.6630  7 O 2.48-2.72



No. 4
Density functional theory data (PBE+U) for an optimized crystal structure of K3YMgV2O8.

Energy of formation from the pure elements in eV/atom: -2.53
Calculated density in g cm⁻³: 2.77
Energy with MP2020 corrections in eV per atom: -7.139
Volume in Å³/atom: 18.394

a b c (Å): 6.1481 6.1479 8.4239
angles (deg): 85.48 94.52 119.52
With the nearest neighbours (Å) after each atom.
Positions (direct):
V 0.2993 0.7010 0.2566  2 O 1.71-1.79
V 0.7010 0.2992 0.7433  2 O 1.72-1.79
O 0.8241 0.6144 0.6248  1 V 1.92, 1 Mg 1.99
O 0.1365 0.8633 0.2979  1 V 1.79
O 0.1760 0.3858 0.3752  1 V 1.92, 1 Mg 1.99
O 0.6143 0.8242 0.3753  1 V 1.92, 1 Mg 1.99
O 0.3288 0.6724 0.0598  1 V 1.71
O 0.3857 0.1760 0.6248  1 V 1.92, 1 Mg 1.99
O 0.6723 0.3288 0.9402  1 V 1.72
O 0.8634 0.1365 0.7021  1 V 1.79
K 0.9986 0.9986 0.0000  2 O 2.78
K 0.3025 0.6972 0.7589  1 O 2.52
K 0.6974 0.3025 0.2411  1 O 2.52
Y 0.0001 0.0000 0.5000  6 O 2.27-2.34
Mg 0.5000 0.5001 0.5000  4 O 1.99